No. 1
Density functional theory data (PBE-GGA) for TiGaCu2 after structural relaxation.

Lattice parameters (Å, degrees): 4.255 4.255 4.255 60.00 60.00 60.00
Sites, in units of the cell vectors:
Ti  0.000  0.000  0.000
Ga  0.500  0.500  0.500
Cu  0.250  0.250  0.250
Cu  0.750  0.750  0.750

No. 2
Density functional theory data (PBE-GGA) for U2Nb3Si4 after structural relaxation.

Lattice parameters (Å, degrees): 7.054 7.054 12.997 90.00 90.00 90.00
Sites, in units of the cell vectors:
U  0.995  0.333  0.219
U  0.005  0.667  0.719
U  0.167  0.495  0.469
U  0.505  0.833  0.031
U  0.833  0.505  0.969
U  0.495  0.167  0.531
U  0.333  0.995  0.781
U  0.667  0.005  0.281
Nb  0.168  0.168  0.000
Nb  0.832  0.832  0.500
Nb  0.332  0.668  0.250
Nb  0.668  0.332  0.750
Nb  0.157  0.999  0.375
Nb  0.843  0.001  0.875
Nb  0.501  0.657  0.625
Nb  0.343  0.499  0.875
Nb  0.499  0.343  0.125
Nb  0.657  0.501  0.375
Nb  0.999  0.157  0.625
Nb  0.001  0.843  0.125
Si  0.295  0.040  0.185
Si  0.705  0.960  0.685
Si  0.460  0.795  0.435
Si  0.205  0.540  0.065
Si  0.540  0.205  0.935
Si  0.795  0.460  0.565
Si  0.040  0.295  0.815
Si  0.960  0.705  0.315
Si  0.371  0.293  0.317
Si  0.629  0.707  0.817
Si  0.207  0.871  0.567
Si  0.129  0.793  0.933
Si  0.793  0.129  0.067
Si  0.871  0.207  0.433
Si  0.293  0.371  0.683
Si  0.707  0.629  0.183

No. 3
Density functional theory data (PBE-GGA) for Ce18C18Cl11 after structural relaxation.

Lattice parameters (Å, degrees): 6.653 7.615 18.746 89.15 99.34 104.24
Sites, in units of the cell vectors:
Ce  0.909  0.853  0.060
Ce  0.091  0.147  0.940
Ce  0.129  0.814  0.490
Ce  0.871  0.186  0.510
Ce  0.570  0.879  0.386
Ce  0.430  0.121  0.614
Ce  0.309  0.248  0.400
Ce  0.691  0.752  0.600
Ce  0.002  0.943  0.273
Ce  0.998  0.057  0.727
Ce  0.633  0.221  0.045
Ce  0.367  0.779  0.955
Ce  0.451  0.933  0.173
Ce  0.549  0.067  0.827
Ce  0.174  0.301  0.154
Ce  0.826  0.699  0.846
Ce  0.741  0.312  0.291
Ce  0.259  0.688  0.709
C  0.462  0.066  0.479
C  0.538  0.934  0.521
C  0.257  0.107  0.076
C  0.743  0.893  0.924
C  0.412  0.058  0.303
C  0.588  0.942  0.697
C  0.708  0.029  0.965
C  0.292  0.971  0.035
C  0.901  0.132  0.370
C  0.099  0.868  0.630
C  0.806  0.166  0.193
C  0.194  0.834  0.807
C  0.978  0.002  0.412
C  0.022  0.998  0.588
C  0.834  0.044  0.143
C  0.166  0.956  0.857
C  0.336  0.171  0.253
C  0.664  0.829  0.747
Cl  0.061  0.655  0.182
Cl  0.939  0.345  0.818
Cl  0.521  0.592  0.087
Cl  0.479  0.408  0.913
Cl  0.156  0.608  0.362
Cl  0.844  0.392  0.638
Cl  0.000  0.500  0.000
Cl  0.603  0.660  0.267
Cl  0.397  0.340  0.733
Cl  0.717  0.539  0.454
Cl  0.283  0.461  0.546

Number 1: E_tot -5.02 eV/atom, calculated volume 13.62 Å³/atom, ΔE_f -0.24 eV/atom. Number 2: E_tot -8.81 eV/atom, calculated volume 17.96 Å³/atom, ΔE_f -0.49 eV/atom. Number 3: E_tot -7.20 eV/atom, calculated volume 19.32 Å³/atom, ΔE_f -1.11 eV/atom.